No. 1
This record from Materials Project describes LiMn5O3F5 after structural relaxation. The functional is GGA+U.

POSCAR file:
```
LiMn5O3F5
1.0
3.2271 1.8632 5.2369
-3.2271 1.8632 5.2369
0.0000 -3.7263 5.2369
Li Mn O F
1 5 3 5
direct
0.0000 0.0000 0.0000
0.3748 0.3748 0.8633
0.3748 0.8633 0.3748
0.3851 0.3851 0.3851
0.7696 0.7696 0.7696
0.8633 0.3748 0.3748
0.1584 0.6217 0.6217
0.6217 0.1584 0.6217
0.6217 0.6217 0.1584
0.1290 0.1290 0.1290
0.1356 0.1356 0.5979
0.1356 0.5979 0.1356
0.5979 0.1356 0.1356
0.6280 0.6280 0.6280
```

Results
The volume is 189 Å³ per cell. The value obtained for the largest piezoelectric modulus is 0.6 C/m². The calculation puts the distance to the lowest polymorph of the same formula at 0.000 eV per atom. As for the magnetic moment: 25.00 μB/f.u. For the electronic total energy, the calculation gives -6.74 eV/atom. As for the space-group type: R3m, No. 160.

No. 2
This record from Materials Project describes CrPHO5 after structural relaxation. The functional is GGA+U.

POSCAR file:
```
CrPHO5
1.0
5.2062 0.0000 0.0000
-0.8472 5.1433 0.0000
-2.3451 -2.4065 6.4194
Cr P H O
2 2 2 10
direct
0.0000 0.0000 0.0000
0.0000 0.0000 0.5000
0.3254 0.6613 0.2734
0.6746 0.3387 0.7266
0.3454 0.0041 0.8225
0.6546 0.9959 0.1775
0.1098 0.6806 0.3773
0.1354 0.9593 0.7678
0.2710 0.3540 0.1379
0.2970 0.8357 0.1271
0.3704 0.2405 0.5644
0.6296 0.7595 0.4356
0.7030 0.1643 0.8729
0.7290 0.6460 0.8621
0.8646 0.0407 0.2322
0.8902 0.3194 0.6227
```

Results
The volume is 172 Å³ per cell. As for the magnetic moment: 2.00 μB/f.u. For the electronic total energy, the calculation gives -6.88 eV/atom. As for the space-group type: P-1, No. 2.

No. 3
This record from Materials Project describes BaTi18Mn3O38 after structural relaxation. The functional is GGA+U.

POSCAR file:
```
BaTi18Mn3O38
1.0
5.2543 3.0336 7.0506
-5.2543 3.0336 7.0506
0.0000 -6.0671 7.0506
Ba Ti Mn O
1 18 3 38
direct
0.0000 0.0000 0.0000
0.0206 0.1240 0.3482
0.0872 0.4672 0.6402
0.1240 0.3482 0.0206
0.1496 0.7141 0.3146
0.2859 0.6854 0.8504
0.3146 0.1496 0.7141
0.3482 0.0206 0.1240
0.3598 0.9128 0.5328
0.4672 0.6402 0.0872
0.5328 0.3598 0.9128
0.6402 0.0872 0.4672
0.6518 0.9794 0.8760
0.6854 0.8504 0.2859
0.7141 0.3146 0.1496
0.8504 0.2859 0.6854
0.8760 0.6518 0.9794
0.9128 0.5328 0.3598
0.9794 0.8760 0.6518
0.3104 0.3104 0.3104
0.5000 0.5000 0.5000
0.6896 0.6896 0.6896
0.0113 0.4865 0.8558
0.0610 0.7612 0.8460
0.0744 0.7022 0.5439
0.0748 0.2440 0.7055
0.1321 0.4899 0.3928
0.1442 0.9887 0.5135
0.1540 0.9390 0.2388
0.2118 0.2118 0.2118
0.2388 0.1540 0.9390
0.2440 0.7055 0.0748
0.2945 0.9252 0.7560
0.2978 0.4561 0.9256
0.3056 0.3763 0.6276
0.3724 0.6944 0.6237
0.3763 0.6276 0.3056
0.3928 0.1321 0.4899
0.4561 0.9256 0.2978
0.4865 0.8558 0.0113
0.4899 0.3928 0.1321
0.5101 0.6072 0.8679
0.5135 0.1442 0.9887
0.5439 0.0744 0.7022
0.6072 0.8679 0.5101
0.6237 0.3724 0.6944
0.6276 0.3056 0.3763
0.6944 0.6237 0.3724
0.7022 0.5439 0.0744
0.7055 0.0748 0.2440
0.7560 0.2945 0.9252
0.7612 0.8460 0.0610
0.7882 0.7882 0.7882
0.8460 0.0610 0.7612
0.8558 0.0113 0.4865
0.8679 0.5101 0.6072
0.9252 0.7560 0.2945
0.9256 0.2978 0.4561
0.9390 0.2388 0.1540
0.9887 0.5135 0.1442
```

Results
The volume is 674 Å³ per cell. As for the magnetic moment: 19.00 μB/f.u. For the electronic total energy, the calculation gives -8.81 eV/atom. As for the space-group type: R-3, No. 148.

No. 4
This record from Materials Project describes V3OF11 after structural relaxation. The functional is GGA+U.

POSCAR file:
```
V3OF11
1.0
5.2716 0.0000 0.0000
-0.0065 5.4566 0.0000
-0.0158 -2.6488 14.5003
V O F
6 2 22
direct
0.0000 0.0000 0.0000
0.0045 0.3320 0.6653
0.0124 0.6538 0.3325
0.4949 0.4979 0.9925
0.5045 0.8318 0.6652
0.5289 0.1249 0.3288
0.4226 0.4552 0.8842
0.7090 0.8738 0.3095
0.0808 0.6290 0.2139
0.0892 0.2901 0.5477
0.0930 0.9563 0.8833
0.2019 0.6432 0.6900
0.2127 0.3042 0.0252
0.2180 0.9687 0.3563
0.2966 0.4710 0.3559
0.3006 0.8005 0.0252
0.3065 0.1427 0.6902
0.4102 0.1336 0.2168
0.4176 0.7926 0.5477
0.5763 0.2269 0.4486
0.5910 0.8739 0.7829
0.5961 0.5410 0.1144
0.7018 0.5214 0.6406
0.7065 0.1954 0.9739
0.7948 0.3553 0.3074
0.7970 0.6946 0.9744
0.8070 0.0211 0.6409
0.9164 0.7158 0.4494
0.9187 0.3742 0.7830
0.9215 0.0431 0.1177
```

Results
The volume is 417 Å³ per cell. The calculation puts the distance to the lowest polymorph of the same formula at 0.030 eV per atom. As for the magnetic moment: 2.00 μB/f.u. For the electronic total energy, the calculation gives -5.69 eV/atom. As for the space-group type: P1, No. 1.

No. 5
This record from Materials Project describes Li9Mn2Co5O16 after structural relaxation. The functional is GGA+U.

POSCAR file:
```
Li9Mn2Co5O16
1.0
19.2784 -1.4434 0.0000
19.2784 1.4434 0.0000
-0.0888 0.0000 5.1979
Li Mn Co O
9 2 5 16
direct
0.0000 0.0000 0.0000
0.1291 0.1291 0.3845
0.2541 0.2541 0.7606
0.3811 0.3811 0.1482
0.4406 0.4406 0.8220
0.5002 0.5002 0.4973
0.6277 0.6277 0.8834
0.7548 0.7548 0.2614
0.8801 0.8801 0.6408
0.1911 0.1911 0.0731
0.5655 0.5655 0.1942
0.0648 0.0648 0.6934
0.3166 0.3166 0.4500
0.6912 0.6912 0.5736
0.8168 0.8168 0.9497
0.9408 0.9408 0.3230
0.0370 0.0370 0.3299
0.0948 0.0948 0.0573
0.1625 0.1625 0.7015
0.2195 0.2195 0.4439
0.2878 0.2878 0.1035
0.3457 0.3457 0.7950
0.4131 0.4131 0.4671
0.4686 0.4686 0.1789
0.5368 0.5368 0.8288
0.5936 0.5936 0.5636
0.6619 0.6619 0.2088
0.7201 0.7201 0.9375
0.7877 0.7877 0.6055
0.8447 0.8447 0.2964
0.9142 0.9142 0.0351
0.9676 0.9676 0.6125
```

Results
The volume is 289 Å³ per cell. The calculation puts the distance to the lowest polymorph of the same formula at 0.066 eV per atom. As for the magnetic moment: 13.71 μB/f.u. For the electronic total energy, the calculation gives -5.79 eV/atom. As for the space-group type: Cm, No. 8.

No. 6
This record from Materials Project describes Sr2La3Ti2Cr3O15 after structural relaxation. The functional is GGA+U.

POSCAR file:
```
Sr2La3Ti2Cr3O15
1.0
5.5567 0.0000 0.0000
-0.0046 5.5977 0.0000
-0.0259 -0.0250 39.2761
Sr La Ti Cr O
8 12 8 12 60
direct
0.0000 0.0000 0.0000
0.9998 0.0006 0.1999
0.0008 0.0014 0.4000
0.5181 0.4985 0.8994
0.5176 0.4998 0.1000
0.5190 0.4966 0.4999
0.5186 0.5011 0.3001
0.5199 0.4960 0.6997
0.0177 0.0044 0.3002
0.0192 0.0069 0.9003
0.0193 0.0078 0.1004
0.0194 0.0088 0.5000
0.0205 0.0080 0.7001
0.4938 0.5067 0.4002
0.4943 0.5085 0.7975
0.4954 0.5084 0.5978
0.4983 0.5086 0.0002
0.4978 0.5098 0.2004
0.9974 0.0023 0.7979
0.9985 0.0022 0.5979
0.0084 0.5021 0.1503
0.0086 0.5024 0.9499
0.5090 0.0022 0.0502
0.5090 0.0025 0.3501
0.5091 0.0031 0.6502
0.5086 0.0041 0.2496
0.5086 0.0040 0.8499
0.5095 0.9995 0.4508
0.0085 0.5022 0.0498
0.0081 0.5021 0.3496
0.0077 0.5025 0.5493
0.0084 0.5024 0.6496
0.0077 0.5024 0.7492
0.0079 0.5024 0.8492
0.0083 0.5025 0.4495
0.0085 0.5022 0.2498
0.5090 0.0024 0.1497
0.5087 0.0023 0.7493
0.5091 0.0023 0.9496
0.5087 0.0028 0.5496
0.0061 0.5748 0.1000
0.0062 0.5748 0.8997
0.0057 0.5806 0.2996
0.0059 0.5834 0.4996
0.0057 0.5833 0.6994
0.0128 0.4283 0.5997
0.0130 0.4471 0.9988
0.0133 0.4484 0.1990
0.0135 0.4282 0.7996
0.0173 0.4419 0.3996
0.2439 0.7668 0.7583
0.2457 0.7653 0.5584
0.2490 0.7657 0.8414
0.2499 0.7558 0.1560
0.2496 0.7560 0.9558
0.2495 0.7663 0.6415
0.2554 0.7602 0.0428
0.2554 0.7617 0.2429
0.2553 0.7630 0.3557
0.2565 0.7615 0.4428
0.2623 0.2604 0.1429
0.2628 0.2608 0.9425
0.2671 0.2538 0.8557
0.2666 0.2587 0.5434
0.2676 0.2551 0.0560
0.2683 0.2547 0.6560
0.2682 0.2604 0.7431
0.2687 0.2540 0.3430
0.2693 0.2545 0.4560
0.2688 0.2562 0.2557
0.5040 0.9425 0.6987
0.5043 0.9448 0.8986
0.5047 0.9445 0.4992
0.5046 0.9467 0.0989
0.5053 0.9495 0.2993
0.5113 0.0741 0.1999
0.5117 0.0712 0.3994
0.5117 0.0747 0.9999
0.5132 0.0728 0.6002
0.5134 0.0732 0.8000
0.7393 0.7400 0.4425
0.7404 0.7404 0.2426
0.7400 0.7415 0.3561
0.7407 0.7391 0.0425
0.7440 0.7387 0.7586
0.7439 0.7433 0.8412
0.7444 0.7442 0.6414
0.7449 0.7337 0.1564
0.7449 0.7399 0.5586
0.7456 0.7341 0.9561
0.7709 0.2327 0.3427
0.7709 0.2328 0.4563
0.7724 0.2334 0.0564
0.7716 0.2340 0.2561
0.7744 0.2305 0.8560
0.7735 0.2316 0.6562
0.7764 0.2397 0.9422
0.7770 0.2391 0.1426
0.7797 0.2298 0.5431
0.7810 0.2285 0.7429
```

Results
The volume is 1222 Å³ per cell. As for the magnetic moment: 9.00 μB/f.u. For the electronic total energy, the calculation gives -8.15 eV/atom. As for the space-group type: P1, No. 1.

No. 7
This record from Materials Project describes FeO3 after structural relaxation. The functional is GGA+U.

POSCAR file:
```
FeO3
1.0
7.7348 -1.4285 0.0000
7.7348 1.4285 0.0000
-2.1485 0.0000 5.5633
Fe O
2 6
direct
0.1875 0.1875 0.2817
0.8125 0.8125 0.7183
0.0183 0.0183 0.1106
0.3213 0.3213 0.9233
0.3252 0.3252 0.5150
0.6748 0.6748 0.4850
0.6787 0.6787 0.0767
0.9817 0.9817 0.8894
```

Results
The volume is 123 Å³ per cell. As for the magnetic moment: 5.00 μB/f.u. For the electronic total energy, the calculation gives -5.67 eV/atom. As for the space-group type: C2/m, No. 12.

No. 8
This record from Materials Project describes Li2Si3Ni3O10 after structural relaxation. The functional is GGA+U.

POSCAR file:
```
Li2Si3Ni3O10
1.0
7.8259 -2.3868 0.0000
7.8259 2.3868 0.0000
-0.5770 0.0000 10.2107
Li Si Ni O
4 6 6 20
direct
0.1556 0.7345 0.5273
0.2655 0.8444 0.9727
0.7345 0.1556 0.0273
0.8444 0.2655 0.4727
0.1564 0.5307 0.0935
0.1891 0.8109 0.2500
0.4693 0.8436 0.4065
0.5307 0.1564 0.5935
0.8109 0.1891 0.7500
0.8436 0.4693 0.9065
0.0000 0.5000 0.5000
0.0652 0.6196 0.7847
0.3804 0.9348 0.7153
0.5000 0.0000 0.0000
0.6196 0.0652 0.2847
0.9348 0.3804 0.2153
0.0441 0.0526 0.6425
0.0526 0.0441 0.1425
0.1278 0.1826 0.3976
0.1826 0.1278 0.8976
0.2485 0.2856 0.1668
0.2856 0.2485 0.6668
0.2994 0.3873 0.9484
0.3560 0.5140 0.1699
0.3873 0.2994 0.4484
0.4860 0.6440 0.3301
0.5140 0.3560 0.6699
0.6127 0.7006 0.5516
0.6440 0.4860 0.8301
0.7006 0.6127 0.0516
0.7144 0.7515 0.3332
0.7515 0.7144 0.8332
0.8174 0.8722 0.1024
0.8722 0.8174 0.6024
0.9474 0.9559 0.8575
0.9559 0.9474 0.3575
```

Results
The volume is 381 Å³ per cell. As for the magnetic moment: 6.00 μB/f.u. For the electronic total energy, the calculation gives -6.46 eV/atom. As for the space-group type: C2/c, No. 15.